# 1
A relaxed structure of CsZr6BI14, computed with PBE-GGA.

a = 11.0207 Å, b = 11.0207 Å, c = 13.2267 Å
α = 90.00°, β = 90.00°, γ = 85.33°
Sites, in units of the cell vectors:
Cs 0.0000 0.0000 0.0000
Cs 0.5000 0.5000 0.5000
Zr 0.0427 0.1681 0.6081
Zr 0.1308 0.8692 0.5967
Zr 0.1681 0.0427 0.3919
Zr 0.3319 0.4573 0.8919
Zr 0.3692 0.6308 0.0967
Zr 0.4573 0.3319 0.1081
Zr 0.5427 0.6681 0.8919
Zr 0.6308 0.3692 0.9033
Zr 0.6681 0.5427 0.1081
Zr 0.8319 0.9573 0.6081
Zr 0.8692 0.1308 0.4033
Zr 0.9573 0.8319 0.3919
B 0.0000 0.0000 0.5000
B 0.5000 0.5000 0.0000
I 0.0356 0.2111 0.2530
I 0.1037 0.3963 0.7500
I 0.1114 0.6402 0.4932
I 0.1402 0.6113 0.9932
I 0.1544 0.8456 0.2426
I 0.2111 0.0356 0.7470
I 0.2486 0.2486 0.5000
I 0.2514 0.2514 0.0000
I 0.2889 0.4644 0.2470
I 0.3456 0.6544 0.7426
I 0.3598 0.8887 0.4932
I 0.3887 0.8598 0.9932
I 0.3963 0.1037 0.2500
I 0.4644 0.2889 0.7530
I 0.5356 0.7111 0.2470
I 0.6037 0.8963 0.7500
I 0.6113 0.1402 0.0068
I 0.6402 0.1113 0.5068
I 0.6544 0.3456 0.2574
I 0.7111 0.5356 0.7530
I 0.7486 0.7486 0.0000
I 0.7514 0.7514 0.5000
I 0.7889 0.9644 0.2530
I 0.8456 0.1544 0.7574
I 0.8598 0.3887 0.0068
I 0.8887 0.3598 0.5068
I 0.8963 0.6037 0.2500
I 0.9644 0.7889 0.7470

## Properties
Energy relative to the elements ... -1.2936 eV/atom
SG ... Cmce, No. 64

***

# 2
A relaxed structure of Cs2K2B10O17, computed with PBE-GGA.

a = 6.6764 Å, b = 11.4384 Å, c = 11.9636 Å
α = 77.32°, β = 73.95°, γ = 89.92°
Sites, in units of the cell vectors:
Cs 0.0000 0.0000 0.0000
Cs 0.1114 0.6918 0.7773
Cs 0.6153 0.5038 0.9976
Cs 0.7320 0.1913 0.7781
K 0.0101 0.2721 0.4317
K 0.1743 0.7696 0.4288
K 0.5578 0.4218 0.3451
K 0.7154 0.9241 0.3459
B 0.0496 0.4671 0.1574
B 0.1403 0.1112 0.2219
B 0.1419 0.3611 0.9905
B 0.1642 0.4330 0.6001
B 0.2269 0.0217 0.5853
B 0.2438 0.3284 0.7859
B 0.2549 0.6102 0.2235
B 0.3196 0.2244 0.6179
B 0.4114 0.9672 0.1587
B 0.4753 0.5810 0.5545
B 0.4891 0.8634 0.9901
B 0.5064 0.1706 0.1882
B 0.5674 0.7590 0.1769
B 0.5923 0.0810 0.5541
B 0.5942 0.8309 0.7842
B 0.6835 0.7253 0.6170
B 0.8074 0.5212 0.5890
B 0.8603 0.9326 0.5984
B 0.8740 0.2594 0.1755
B 0.9229 0.6698 0.1893
O 0.0919 0.9383 0.5750
O 0.1030 0.6950 0.2219
O 0.1371 0.4149 0.7317
O 0.1655 0.4607 0.0323
O 0.1689 0.1253 0.6215
O 0.1921 0.9960 0.2155
O 0.2112 0.4955 0.2155
O 0.2688 0.3360 0.5517
O 0.2852 0.5518 0.5413
O 0.2919 0.3442 0.8886
O 0.2942 0.1968 0.2172
O 0.3060 0.2282 0.7444
O 0.4224 0.9624 0.0326
O 0.4393 0.9961 0.5561
O 0.4450 0.8485 0.8863
O 0.4456 0.6402 0.2353
O 0.4634 0.8560 0.2246
O 0.5218 0.6966 0.5593
O 0.5400 0.1956 0.5628
O 0.5636 0.0665 0.1534
O 0.5677 0.7316 0.7423
O 0.5960 0.7772 0.0450
O 0.6235 0.4947 0.5609
O 0.6426 0.2544 0.1972
O 0.7592 0.9142 0.7306
O 0.7763 0.7532 0.1996
O 0.7953 0.0514 0.5405
O 0.8032 0.8354 0.5508
O 0.8291 0.6252 0.6244
O 0.9055 0.5682 0.1498
O 0.9298 0.3568 0.2234
O 0.9372 0.1407 0.2348
O 0.9539 0.4380 0.5788
O 0.9784 0.2767 0.0440

## Properties
Energy relative to the elements ... -2.7977 eV/atom
SG ... P1, No. 1

***

# 3
A relaxed structure of Cs2K2B10O17, computed with PBE-GGA.

a = 6.6771 Å, b = 11.4427 Å, c = 11.9633 Å
α = 77.24°, β = 73.95°, γ = 89.91°
Sites, in units of the cell vectors:
Cs 0.0000 0.0000 0.0000
Cs 0.1111 0.6919 0.7777
Cs 0.6154 0.5038 0.9976
Cs 0.7325 0.1914 0.7785
K 0.0102 0.2723 0.4319
K 0.1743 0.7697 0.4289
K 0.5585 0.4218 0.3452
K 0.7155 0.9243 0.3459
B 0.0499 0.4671 0.1575
B 0.1400 0.1111 0.2223
B 0.1426 0.3612 0.9904
B 0.1642 0.4330 0.6005
B 0.2273 0.0216 0.5854
B 0.2442 0.3282 0.7861
B 0.2551 0.6102 0.2240
B 0.3197 0.2244 0.6180
B 0.4117 0.9672 0.1588
B 0.4753 0.5811 0.5545
B 0.4891 0.8636 0.9901
B 0.5065 0.1706 0.1884
B 0.5678 0.7591 0.1770
B 0.5927 0.0811 0.5542
B 0.5941 0.8308 0.7844
B 0.6836 0.7252 0.6171
B 0.8076 0.5212 0.5891
B 0.8606 0.9326 0.5986
B 0.8741 0.2595 0.1755
B 0.9232 0.6700 0.1894
O 0.0922 0.9383 0.5751
O 0.1033 0.6951 0.2221
O 0.1372 0.4149 0.7319
O 0.1656 0.4608 0.0324
O 0.1692 0.1252 0.6217
O 0.1921 0.9961 0.2158
O 0.2115 0.4956 0.2158
O 0.2690 0.3361 0.5518
O 0.2850 0.5521 0.5413
O 0.2927 0.3443 0.8888
O 0.2942 0.1968 0.2172
O 0.3058 0.2281 0.7445
O 0.4227 0.9626 0.0327
O 0.4398 0.9961 0.5564
O 0.4446 0.8486 0.8864
O 0.4459 0.6401 0.2355
O 0.4637 0.8561 0.2248
O 0.5219 0.6967 0.5593
O 0.5404 0.1956 0.5631
O 0.5638 0.0666 0.1536
O 0.5681 0.7317 0.7425
O 0.5962 0.7773 0.0452
O 0.6233 0.4947 0.5613
O 0.6425 0.2545 0.1973
O 0.7594 0.9141 0.7309
O 0.7768 0.7533 0.1997
O 0.7957 0.0515 0.5405
O 0.8038 0.8354 0.5509
O 0.8292 0.6251 0.6246
O 0.9059 0.5685 0.1498
O 0.9299 0.3567 0.2236
O 0.9371 0.1406 0.2351
O 0.9540 0.4379 0.5791
O 0.9789 0.2768 0.0440

## Properties
Energy relative to the elements ... -2.7975 eV/atom
SG ... P1, No. 1

***

# 4
A relaxed structure of Cs2K2B10O17, computed with PBE-GGA.

a = 11.9928 Å, b = 11.9928 Å, c = 11.4609 Å
α = 102.31°, β = 102.31°, γ = 32.35°
Sites, in units of the cell vectors:
Cs 0.1374 0.7529 0.9063
Cs 0.2471 0.8626 0.5937
Cs 0.7529 0.1374 0.4063
Cs 0.8626 0.2471 0.0937
K 0.1465 0.3111 0.1741
K 0.3111 0.1465 0.6741
K 0.6889 0.8535 0.3259
K 0.8535 0.6889 0.8259
B 0.0087 0.7028 0.1636
B 0.0581 0.6416 0.5741
B 0.1829 0.5464 0.3710
B 0.2738 0.6230 0.2657
B 0.2758 0.3900 0.0150
B 0.2972 0.9913 0.3364
B 0.3584 0.9419 0.9259
B 0.3770 0.7262 0.2343
B 0.3900 0.2758 0.5150
B 0.4536 0.8171 0.1290
B 0.5464 0.1829 0.8710
B 0.6100 0.7242 0.4850
B 0.6230 0.2738 0.7657
B 0.6416 0.0581 0.0741
B 0.7028 0.0087 0.6636
B 0.7242 0.6100 0.9850
B 0.7262 0.3770 0.7343
B 0.8171 0.4536 0.6290
B 0.9419 0.3584 0.4259
B 0.9913 0.2972 0.8364
O 0.0377 0.6988 0.4710
O 0.0638 0.5992 0.2608
O 0.0728 0.5803 0.0453
O 0.0877 0.2222 0.3421
O 0.1116 0.7311 0.1810
O 0.2222 0.0877 0.8421
O 0.2397 0.4294 0.5999
O 0.2689 0.8884 0.3190
O 0.2984 0.5560 0.3648
O 0.3012 0.9623 0.0290
O 0.3269 0.3456 0.8999
O 0.3456 0.3269 0.3999
O 0.4008 0.9362 0.2392
O 0.4197 0.9272 0.4547
O 0.4217 0.5783 0.2500
O 0.4294 0.2397 0.0999
O 0.4440 0.7016 0.1352
O 0.5560 0.2984 0.8648
O 0.5706 0.7603 0.9001
O 0.5783 0.4217 0.7500
O 0.5803 0.0728 0.5453
O 0.5992 0.0638 0.7608
O 0.6544 0.6731 0.6001
O 0.6731 0.6544 0.1001
O 0.6988 0.0377 0.9710
O 0.7016 0.4440 0.6352
O 0.7311 0.1116 0.6810
O 0.7603 0.5706 0.4001
O 0.7778 0.9123 0.1579
O 0.8884 0.2689 0.8190
O 0.9123 0.7778 0.6579
O 0.9272 0.4197 0.9547
O 0.9362 0.4008 0.7392
O 0.9623 0.3012 0.5290

## Properties
Energy relative to the elements ... -2.7981 eV/atom
SG ... C2/c, No. 15

***

# 5
A relaxed structure of Cs3NaLi2B2O6, computed with PBE-GGA.

a = 6.8149 Å, b = 7.4180 Å, c = 10.3973 Å
α = 96.61°, β = 101.49°, γ = 103.87°
Sites, in units of the cell vectors:
Cs 0.1470 0.2688 0.4244
Cs 0.2859 0.7742 0.3709
Cs 0.3169 0.6963 0.0171
Cs 0.6831 0.3037 0.9829
Cs 0.7141 0.2258 0.6291
Cs 0.8530 0.7312 0.5756
Na 0.1730 0.1735 0.0837
Na 0.8270 0.8265 0.9163
Li 0.2738 0.4020 0.7412
Li 0.2977 0.9103 0.7361
Li 0.7023 0.0897 0.2639
Li 0.7262 0.5980 0.2588
B 0.1507 0.1314 0.8134
B 0.4677 0.6867 0.7185
B 0.5323 0.3133 0.2815
B 0.8493 0.8686 0.1866
O 0.1220 0.2973 0.8744
O 0.1525 0.9750 0.8757
O 0.1934 0.1251 0.6852
O 0.2520 0.6306 0.6625
O 0.4277 0.1216 0.2625
O 0.4316 0.4467 0.2394
O 0.5684 0.5533 0.7606
O 0.5723 0.8784 0.7375
O 0.7480 0.3694 0.3375
O 0.8066 0.8749 0.3148
O 0.8475 0.0250 0.1243
O 0.8780 0.7027 0.1256

## Properties
Energy relative to the elements ... -2.3274 eV/atom
SG ... P-1, No. 2

***

# 6
A relaxed structure of Cs2LiNdB2O6, computed with PBE-GGA.

a = 7.3235 Å, b = 10.1813 Å, c = 10.4706 Å
α = 90.00°, β = 90.00°, γ = 90.00°
Sites, in units of the cell vectors:
Cs 0.2276 0.0769 0.0536
Cs 0.2276 0.0769 0.4464
Cs 0.2276 0.4231 0.5536
Cs 0.2276 0.4231 0.9464
Cs 0.7724 0.5769 0.0536
Cs 0.7724 0.5769 0.4464
Cs 0.7724 0.9231 0.5536
Cs 0.7724 0.9231 0.9464
Li 0.0557 0.1621 0.7500
Li 0.0557 0.3379 0.2500
Li 0.9443 0.6621 0.7500
Li 0.9443 0.8379 0.2500
Nd 0.3576 0.7236 0.2500
Nd 0.3576 0.7764 0.7500
Nd 0.6424 0.2236 0.2500
Nd 0.6424 0.2764 0.7500
B 0.1929 0.7500 0.0000
B 0.1929 0.7500 0.5000
B 0.3517 0.0676 0.7500
B 0.3517 0.4324 0.2500
B 0.6483 0.5676 0.7500
B 0.6483 0.9324 0.2500
B 0.8071 0.2500 0.0000
B 0.8071 0.2500 0.5000
O 0.1038 0.7149 0.6117
O 0.1038 0.7149 0.8883
O 0.1038 0.7851 0.1117
O 0.1038 0.7851 0.3883
O 0.1981 0.5130 0.2500
O 0.1981 0.9870 0.7500
O 0.3289 0.2034 0.7500
O 0.3289 0.2966 0.2500
O 0.3846 0.7500 0.0000
O 0.3846 0.7500 0.5000
O 0.4775 0.5092 0.7500
O 0.4775 0.9908 0.2500
O 0.5225 0.0092 0.7500
O 0.5225 0.4908 0.2500
O 0.6154 0.2500 0.0000
O 0.6154 0.2500 0.5000
O 0.6711 0.7034 0.7500
O 0.6711 0.7966 0.2500
O 0.8019 0.0130 0.2500
O 0.8019 0.4870 0.7500
O 0.8962 0.2149 0.6117
O 0.8962 0.2149 0.8883
O 0.8962 0.2851 0.1117
O 0.8962 0.2851 0.3883

## Properties
Energy relative to the elements ... -2.8322 eV/atom
SG ... Pbcm, No. 57